# 1
Density functional theory data (GGA-PBE) for a geometry-optimized Ti17N6O24 structure.

## Properties
Electronic total energy = -9.103 eV/atom
Spin magnetization = 0.271 Bohr magnetons per cell
Offset from the most stable computed form = 2 meV per atom

abc: 7.6474 10.0417 14.6426
angles: 90.00 97.51 90.00
Space group P2_1/m (No. 11)
Unique sites:
Ti: 0.0163 0.0764 0.0934 [4 per cell]
Ti: 0.0269 0.7500 0.1305 [2 per cell]
Ti: 0.1314 0.2500 0.5353 [2 per cell]
Ti: 0.1438 0.5703 0.5769 [4 per cell]
Ti: 0.1897 0.0598 0.7590 [4 per cell]
Ti: 0.3000 0.2500 0.1998 [2 per cell]
Ti: 0.3096 0.5719 0.2383 [4 per cell]
Ti: 0.3558 0.0722 0.4259 [4 per cell]
Ti: 0.3632 0.7500 0.4636 [2 per cell]
Ti: 0.4617 0.2500 0.8695 [2 per cell]
Ti: 0.4695 0.5764 0.9066 [4 per cell]
N: 0.0549 0.2500 0.1450 [2 per cell]
N: 0.1292 0.7500 0.5108 [2 per cell]
N: 0.2055 0.2500 0.8221 [2 per cell]
N: 0.2952 0.7500 0.1806 [2 per cell]
N: 0.3731 0.2500 0.4867 [2 per cell]
N: 0.4823 0.7500 0.8551 [2 per cell]
O: 0.0116 0.6198 0.0321 [4 per cell]
O: 0.0513 0.5646 0.2082 [4 per cell]
O: 0.1145 0.0672 0.4574 [4 per cell]
O: 0.1586 0.1217 0.6337 [4 per cell]
O: 0.1745 0.6089 0.6961 [4 per cell]
O: 0.2203 0.5494 0.8817 [4 per cell]
O: 0.2821 0.0598 0.1281 [4 per cell]
O: 0.3260 0.1181 0.3022 [4 per cell]
O: 0.3412 0.6187 0.3650 [4 per cell]
O: 0.3852 0.5647 0.5402 [4 per cell]
O: 0.4471 0.0647 0.7918 [4 per cell]
O: 0.4957 0.1198 0.9679 [4 per cell]


# 2
Density functional theory data (GGA-PBE) for a geometry-optimized Ti17N6O24 structure.

## Properties
Electronic total energy = -9.105 eV/atom
Spin magnetization = 0.124 Bohr magnetons per cell
Offset from the most stable computed form = 0 meV per atom

abc: 20.0679 11.4652 9.6786
angles: 90.00 90.00 90.00
Space group Ama2 (No. 40)
Unique sites:
Ti: 0.0000 0.0000 0.0000 [4 per cell]
Ti: 0.0005 0.1680 0.4984 [8 per cell]
Ti: 0.0878 0.1670 0.8347 [8 per cell]
Ti: 0.0889 0.0000 0.3350 [8 per cell]
Ti: 0.0965 0.3333 0.3352 [8 per cell]
Ti: 0.1587 0.3331 0.0612 [8 per cell]
Ti: 0.1635 0.4965 0.5535 [8 per cell]
Ti: 0.1636 0.1705 0.5543 [8 per cell]
Ti: 0.2500 0.1690 0.8923 [4 per cell]
Ti: 0.2500 0.4976 0.8925 [4 per cell]
N: 0.0000 0.0000 0.4264 [4 per cell]
N: 0.9995 0.1651 0.9258 [8 per cell]
N: 0.2500 0.0130 0.9754 [4 per cell]
N: 0.2500 0.1535 0.4754 [4 per cell]
N: 0.2500 0.3334 0.9663 [4 per cell]
O: 0.0640 0.3328 0.1459 [8 per cell]
O: 0.0649 0.0034 0.1485 [8 per cell]
O: 0.0652 0.1636 0.6478 [8 per cell]
O: 0.0907 0.3329 0.8795 [8 per cell]
O: 0.0937 0.0002 0.8848 [8 per cell]
O: 0.0940 0.1671 0.3837 [8 per cell]
O: 0.1497 0.3334 0.5191 [8 per cell]
O: 0.1562 0.1680 0.0043 [8 per cell]
O: 0.1562 0.4986 0.0042 [8 per cell]
O: 0.1796 0.3338 0.2393 [8 per cell]
O: 0.1843 0.1672 0.7434 [8 per cell]
O: 0.1842 0.4992 0.7434 [8 per cell]


# 3
Density functional theory data (GGA-PBE) for a geometry-optimized Ti17N6O24 structure.

## Properties
Electronic total energy = -9.103 eV/atom
Spin magnetization = 0.002 Bohr magnetons per cell
Offset from the most stable computed form = 2 meV per atom

abc: 7.5005 10.0394 15.0015
angles: 90.00 99.73 90.00
Space group P2_1/m (No. 11)
Unique sites:
Ti: 0.0282 0.0703 0.0979 [4 per cell]
Ti: 0.0305 0.2500 0.4326 [2 per cell]
Ti: 0.0307 0.2500 0.9334 [2 per cell]
Ti: 0.0333 0.0695 0.5997 [4 per cell]
Ti: 0.2999 0.7500 0.4027 [2 per cell]
Ti: 0.3055 0.5600 0.7362 [4 per cell]
Ti: 0.3075 0.7500 0.9003 [2 per cell]
Ti: 0.3137 0.5774 0.2358 [4 per cell]
Ti: 0.3590 0.0721 0.4298 [4 per cell]
Ti: 0.3641 0.0771 0.9274 [4 per cell]
Ti: 0.3671 0.2500 0.2631 [2 per cell]
N: 0.0619 0.7500 0.9464 [2 per cell]
N: 0.0661 0.7500 0.4488 [2 per cell]
N: 0.2672 0.2500 0.8965 [2 per cell]
N: 0.2714 0.2500 0.3839 [2 per cell]
N: 0.3739 0.7500 0.2829 [2 per cell]
N: 0.3983 0.7500 0.7831 [2 per cell]
O: 0.1171 0.6219 0.6419 [4 per cell]
O: 0.1193 0.6182 0.1421 [4 per cell]
O: 0.1427 0.0637 0.9891 [4 per cell]
O: 0.1476 0.0675 0.4909 [4 per cell]
O: 0.1880 0.5629 0.8444 [4 per cell]
O: 0.1907 0.5620 0.3460 [4 per cell]
O: 0.2104 0.1088 0.6894 [4 per cell]
O: 0.2119 0.1202 0.1912 [4 per cell]
O: 0.4489 0.6198 0.9774 [4 per cell]
O: 0.4526 0.6185 0.4766 [4 per cell]
O: 0.4790 0.0626 0.3223 [4 per cell]
O: 0.4902 0.0493 0.8284 [4 per cell]


# 4
Density functional theory data (GGA-PBE) for a geometry-optimized Ti17N6O24 structure.

## Properties
Electronic total energy = -9.104 eV/atom
Spin magnetization = 0.002 Bohr magnetons per cell
Offset from the most stable computed form = 2 meV per atom

abc: 10.0279 11.4883 9.6625
angles: 90.00 90.00 90.00
Space group Pmmn (No. 59, origin choice 2)
Unique sites:
Ti: 0.0574 0.2500 0.1131 [4 per cell]
Ti: 0.0705 0.7500 0.6140 [4 per cell]
Ti: 0.0722 0.0832 0.6120 [8 per cell]
Ti: 0.0768 0.5879 0.1064 [8 per cell]
Ti: 0.2500 0.0879 0.9485 [4 per cell]
Ti: 0.2500 0.2500 0.4482 [2 per cell]
Ti: 0.2500 0.5848 0.4457 [4 per cell]
N: 0.2500 0.0820 0.5188 [4 per cell]
N: 0.2500 0.2500 0.0229 [2 per cell]
N: 0.2500 0.5680 0.0299 [4 per cell]
N: 0.2500 0.7500 0.5166 [2 per cell]
O: 0.0525 0.7500 0.0741 [4 per cell]
O: 0.0616 0.0851 0.0594 [8 per cell]
O: 0.0634 0.5837 0.5616 [8 per cell]
O: 0.0661 0.2500 0.5668 [4 per cell]
O: 0.1100 0.7500 0.7936 [4 per cell]
O: 0.1188 0.5837 0.2983 [8 per cell]
O: 0.1197 0.0812 0.7967 [8 per cell]
O: 0.1216 0.2500 0.3003 [4 per cell]